VASP calculation (GGA-PBE) on an optimized crystal structure of NaTi2P3O12.

Cell: 8.7101 8.7965 12.2589 Å, 89.91 89.28 89.91°
Atoms (fractional coordinates):
O 0.6788 0.9779 0.7600
O 0.8454 0.2197 0.6624
O 0.6769 0.5097 0.2375
O 0.0680 0.3413 0.0806
Na 0.0816 0.9487 0.1866
O 0.1845 0.9913 0.7363
O 0.3175 0.0149 0.2372
Na 0.7060 0.2024 0.8327
P 0.8889 0.1106 0.3537
O 0.4352 0.5852 0.1433
O 0.3213 0.4924 0.7640
P 0.1147 0.8942 0.6451
O 0.3615 0.2191 0.8357
P 0.6056 0.8848 0.8554
O 0.6738 0.9488 0.9614
O 0.1911 0.9416 0.5366
O 0.5636 0.0895 0.1435
O 0.5646 0.4131 0.8597
O 0.4306 0.9044 0.8568
O 0.8284 0.4515 0.5370
Ti 0.2417 0.4711 0.1079
P 0.1133 0.6144 0.3554
O 0.6421 0.7815 0.1631
Ti 0.2613 0.9719 0.3922
O 0.5799 0.3349 0.4265
O 0.1493 0.7841 0.3351
O 0.8194 0.4808 0.7394
Ti 0.7614 0.4699 0.3853
O 0.3153 0.4411 0.9638
O 0.9209 0.8345 0.0750
O 0.1317 0.8582 0.9314
O 0.4411 0.8520 0.4224
P 0.3880 0.3908 0.8544
P 0.0268 0.7482 0.9949
O 0.0680 0.4068 0.6456
P 0.5318 0.7479 0.5002
Ti 0.2494 0.0316 0.8830
Ti 0.2505 0.5324 0.6177
O 0.1831 0.5144 0.2629
P 0.4705 0.2490 0.5041
O 0.4245 0.6648 0.5813
O 0.3643 0.1547 0.4302
P 0.6100 0.6106 0.1462
Na 0.4190 0.4483 0.3141
O 0.0630 0.0827 0.3580
O 0.3683 0.3591 0.5697
P 0.8926 0.3875 0.6444
O 0.1827 0.5600 0.4634
P 0.9714 0.2470 0.0013
O 0.8089 0.0606 0.4616
O 0.8583 0.2821 0.3370
O 0.5592 0.1469 0.5844
O 0.3563 0.2853 0.1661
Ti 0.7516 0.5320 0.8928
O 0.9401 0.9270 0.6391
O 0.6498 0.7163 0.8367
Na 0.8209 0.7147 0.6809
O 0.0716 0.1605 0.9176
O 0.3152 0.0631 0.0372
O 0.8610 0.3484 0.9347
O 0.6851 0.5613 0.0365
Ti 0.7391 0.9685 0.1148
O 0.6485 0.8393 0.5685
O 0.8239 0.0111 0.2609
O 0.6235 0.6358 0.4287
Ti 0.7452 0.0330 0.6063
O 0.9364 0.5923 0.3549
O 0.1316 0.7209 0.6635
O 0.9349 0.6539 0.9126
P 0.3874 0.1150 0.1448
O 0.8715 0.1375 0.0690
O 0.1303 0.6473 0.0668

Values from the calculation:
energy with MP2020 corrections: -8.135 eV/atom
VASP energy: -0.564 Ry per atom
energy of formation: -2.98 eV per atom
energy above the lowest structure with this stoichiometry: 38 meV/atom
crystal system: triclinic
V: 939 Å³ per cell
space group: P1